Entry 1:
# GGA-PBE Ni4IrN4, relaxed
# VASP energy	-6.85	eV per atom
# density	8455	kg/m³
# formation energy	242	meV/atom
data_Ni4IrN4
_space_group_name_H-M_alt 'P -1'
_space_group_IT_number 2
_cell_length_a 4.805
_cell_length_b 5.061
_cell_length_c 8.125
_cell_angle_alpha 77.17
_cell_angle_beta 80.46
_cell_angle_gamma 84.93
loop_
_space_group_symop_operation_xyz
'x,y,z'
'-x,-y,-z'
loop_
_atom_site_label
_atom_site_fract_x
_atom_site_fract_y
_atom_site_fract_z
Ni1 0.112 0.192 0.401
Ni2 0.219 0.719 0.215
Ni3 0.244 0.375 0.044
Ni4 0.321 0.366 0.600
Ir1 0.329 0.806 0.784
N1 0.073 0.083 0.658
N2 0.087 0.725 0.006
N3 0.411 0.426 0.354
N4 0.432 0.033 0.070

=====

Entry 2:
# GGA-PBE Rb3IrN6O12, relaxed
# VASP energy	-4.73	eV per atom
# density	3341	kg/m³
# formation energy	686	meV/atom
data_Rb3IrN6O12
_space_group_name_H-M_alt 'F m -3 m'
_space_group_IT_number 225
_space_group_name_Hall '-F 4 2 3'
_cell_length_a 11.294
_cell_length_b 11.294
_cell_length_c 11.294
_cell_angle_alpha 90.00
_cell_angle_beta 90.00
_cell_angle_gamma 90.00
loop_
_atom_site_label
_atom_site_fract_x
_atom_site_fract_y
_atom_site_fract_z
Rb1 0.000 0.000 0.000
Rb2 0.250 0.250 0.250
Ir1 0.000 0.000 0.500
N1 0.000 0.000 0.323
O1 0.000 0.210 0.290

=====

Entry 3:
# GGA-PBE Sr4IrN4, relaxed
# VASP energy	-5.77	eV per atom
# density	5310	kg/m³
# formation energy	-489	meV/atom
data_Sr4IrN4
_space_group_name_H-M_alt 'P n m a'
_space_group_IT_number 62
_cell_length_a 13.844
_cell_length_b 3.748
_cell_length_c 14.436
_cell_angle_alpha 90.00
_cell_angle_beta 90.00
_cell_angle_gamma 90.00
loop_
_space_group_symop_operation_xyz
'x,y,z'
'-x,-y,-z'
'-x+1/2,-y,z+1/2'
'x+1/2,y,-z+1/2'
'x+1/2,-y+1/2,-z+1/2'
'-x+1/2,y+1/2,z+1/2'
'-x,y+1/2,-z'
'x,-y+1/2,z'
loop_
_atom_site_label
_atom_site_fract_x
_atom_site_fract_y
_atom_site_fract_z
Sr1 0.012 0.250 0.121
Sr2 0.042 0.750 0.388
Sr3 0.220 0.250 0.740
Sr4 0.235 0.750 0.977
Ir1 0.130 0.750 0.591
N1 0.091 0.250 0.969
N2 0.125 0.250 0.258
N3 0.126 0.250 0.886
N4 0.175 0.250 0.332

=====

Entry 4:
# GGA-PBE Sr2IrN3, relaxed
# VASP energy	-6.46	eV per atom
# density	6974	kg/m³
# formation energy	-441	meV/atom
data_Sr2IrN3
_space_group_name_H-M_alt 'C 1 2/c 1'
_space_group_IT_number 15
_cell_length_a 5.527
_cell_length_b 11.344
_cell_length_c 12.495
_cell_angle_alpha 90.00
_cell_angle_beta 95.43
_cell_angle_gamma 90.00
loop_
_space_group_symop_operation_xyz
'x,y,z'
'-x,-y,-z'
'-x,y,-z+1/2'
'x,-y,z+1/2'
'x+1/2,y+1/2,z'
'-x+1/2,-y+1/2,-z'
'-x+1/2,y+1/2,-z+1/2'
'x+1/2,-y+1/2,z+1/2'
loop_
_atom_site_label
_atom_site_fract_x
_atom_site_fract_y
_atom_site_fract_z
Sr1 0.221 0.200 0.356
Sr2 0.234 0.108 0.925
Ir1 0.206 0.496 0.831
N1 0.000 0.001 0.750
N2 0.000 0.382 0.250
N3 0.207 0.332 0.866
N4 0.248 0.405 0.457

=====

Entry 5:
# GGA-PBE Sr3Ir2N4, relaxed
# VASP energy	-6.43	eV per atom
# density	7642	kg/m³
# formation energy	-360	meV/atom
data_Sr3Ir2N4
_space_group_name_H-M_alt 'P n n a'
_space_group_IT_number 52
_cell_length_a 6.348
_cell_length_b 9.784
_cell_length_c 9.843
_cell_angle_alpha 90.00
_cell_angle_beta 90.00
_cell_angle_gamma 90.00
loop_
_space_group_symop_operation_xyz
'x,y,z'
'-x,-y,-z'
'-x+1/2,-y,z'
'x+1/2,y,-z'
'x,-y+1/2,-z+1/2'
'-x,y+1/2,z+1/2'
'-x+1/2,y+1/2,-z+1/2'
'x+1/2,-y+1/2,z+1/2'
loop_
_atom_site_label
_atom_site_fract_x
_atom_site_fract_y
_atom_site_fract_z
Sr1 0.116 0.162 0.077
Sr2 0.250 0.000 0.395
Ir1 0.074 0.250 0.750
Ir2 0.250 0.000 0.718
N1 0.001 0.576 0.337
N2 0.098 0.632 0.885

=====

Entry 6:
# GGA-PBE Sr10IrN8, relaxed
# VASP energy	-5.26	eV per atom
# density	4382	kg/m³
# formation energy	-549	meV/atom
data_Sr10IrN8
_space_group_name_H-M_alt 'C 1 2/m 1'
_space_group_IT_number 12
_cell_length_a 22.221
_cell_length_b 4.866
_cell_length_c 8.755
_cell_angle_alpha 90.00
_cell_angle_beta 109.06
_cell_angle_gamma 90.00
loop_
_space_group_symop_operation_xyz
'x,y,z'
'-x,-y,-z'
'-x,y,-z'
'x,-y,z'
'x+1/2,y+1/2,z'
'-x+1/2,-y+1/2,-z'
'-x+1/2,y+1/2,-z'
'x+1/2,-y+1/2,z'
loop_
_atom_site_label
_atom_site_fract_x
_atom_site_fract_y
_atom_site_fract_z
Sr1 0.029 0.000 0.340
Sr2 0.098 0.500 0.751
Sr3 0.142 0.500 0.236
Sr4 0.198 0.000 0.034
Sr5 0.205 0.000 0.608
Ir1 0.000 0.500 0.000
N1 0.017 0.500 0.215
N2 0.090 0.000 0.636
N3 0.191 0.500 0.014
N4 0.192 0.000 0.322

=====

Entry 7:
# GGA-PBE SrIrN2, relaxed
# VASP energy	-6.68	eV per atom
# density	8411	kg/m³
# formation energy	-60	meV/atom
data_SrIrN2
_space_group_name_H-M_alt 'P 4/n m m'
_space_group_IT_number 129
_cell_length_a 3.931
_cell_length_b 3.931
_cell_length_c 7.865
_cell_angle_alpha 90.00
_cell_angle_beta 90.00
_cell_angle_gamma 90.00
loop_
_space_group_symop_operation_xyz
'x,y,z'
'-x,-y,-z'
'-y+1/2,x,z'
'y+1/2,-x,-z'
'-x+1/2,-y+1/2,z'
'x+1/2,y+1/2,-z'
'y,-x+1/2,z'
'-y,x+1/2,-z'
'x+1/2,-y,-z'
'-x+1/2,y,z'
'-y,-x,-z'
'y,x,z'
'-x,y+1/2,-z'
'x,-y+1/2,z'
'y+1/2,x+1/2,-z'
'-y+1/2,-x+1/2,z'
loop_
_atom_site_label
_atom_site_fract_x
_atom_site_fract_y
_atom_site_fract_z
Sr1 0.250 0.250 0.162
Ir1 0.250 0.250 0.591
N1 0.250 0.250 0.841
N2 0.250 0.750 0.500

=====

Entry 8:
# GGA-PBE SrIrN2, relaxed
# VASP energy	-6.87	eV per atom
# density	8006	kg/m³
# formation energy	-249	meV/atom
data_SrIrN2
_space_group_name_H-M_alt 'P 1 21/c 1'
_space_group_IT_number 14
_cell_length_a 6.101
_cell_length_b 8.298
_cell_length_c 5.298
_cell_angle_alpha 90.00
_cell_angle_beta 107.76
_cell_angle_gamma 90.00
loop_
_space_group_symop_operation_xyz
'x,y,z'
'-x,-y,-z'
'-x,y+1/2,-z+1/2'
'x,-y+1/2,z+1/2'
loop_
_atom_site_label
_atom_site_fract_x
_atom_site_fract_y
_atom_site_fract_z
Sr1 0.178 0.099 0.347
Ir1 0.380 0.643 0.460
N1 0.233 0.682 0.071
N2 0.283 0.098 0.901

=====

Entry 9:
# GGA-PBE Sr7IrN6, relaxed
# VASP energy	-5.44	eV per atom
# density	5219	kg/m³
# formation energy	-547	meV/atom
data_Sr7IrN6
_space_group_name_H-M_alt 'P b c n'
_space_group_IT_number 60
_cell_length_a 11.926
_cell_length_b 6.709
_cell_length_c 14.152
_cell_angle_alpha 90.00
_cell_angle_beta 90.00
_cell_angle_gamma 90.00
loop_
_space_group_symop_operation_xyz
'x,y,z'
'-x,-y,-z'
'-x+1/2,-y+1/2,z+1/2'
'x+1/2,y+1/2,-z+1/2'
'x+1/2,-y+1/2,-z'
'-x+1/2,y+1/2,z'
'-x,y,-z+1/2'
'x,-y,z+1/2'
loop_
_atom_site_label
_atom_site_fract_x
_atom_site_fract_y
_atom_site_fract_z
Sr1 0.000 0.070 0.250
Sr2 0.036 0.231 0.517
Sr3 0.211 0.393 0.117
Sr4 0.215 0.370 0.873
Ir1 0.000 0.422 0.750
N1 0.025 0.414 0.362
N2 0.124 0.255 0.703
N3 0.169 0.096 0.992

=====

Entry 10:
# GGA-PBE Sr3Ir2N4, relaxed
# VASP energy	-6.40	eV per atom
# density	7862	kg/m³
# formation energy	-325	meV/atom
data_Sr3Ir2N4
_space_group_name_H-M_alt 'C 1 2/c 1'
_space_group_IT_number 15
_cell_length_a 11.392
_cell_length_b 9.363
_cell_length_c 5.576
_cell_angle_alpha 90.00
_cell_angle_beta 92.55
_cell_angle_gamma 90.00
loop_
_space_group_symop_operation_xyz
'x,y,z'
'-x,-y,-z'
'-x,y,-z+1/2'
'x,-y,z+1/2'
'x+1/2,y+1/2,z'
'-x+1/2,-y+1/2,-z'
'-x+1/2,y+1/2,-z+1/2'
'x+1/2,-y+1/2,z+1/2'
loop_
_atom_site_label
_atom_site_fract_x
_atom_site_fract_y
_atom_site_fract_z
Sr1 0.000 0.093 0.250
Sr2 0.120 0.346 0.555
Ir1 0.234 0.116 0.916
N1 0.108 0.322 0.039
N2 0.168 0.064 0.576

=====

Entry 11:
# GGA-PBE Sr4IrN4, relaxed
# VASP energy	-5.81	eV per atom
# density	5973	kg/m³
# formation energy	-530	meV/atom
data_Sr4IrN4
_space_group_name_H-M_alt 'P -1'
_space_group_IT_number 2
_cell_length_a 6.332
_cell_length_b 6.356
_cell_length_c 9.175
_cell_angle_alpha 69.84
_cell_angle_beta 80.39
_cell_angle_gamma 74.54
loop_
_space_group_symop_operation_xyz
'x,y,z'
'-x,-y,-z'
loop_
_atom_site_label
_atom_site_fract_x
_atom_site_fract_y
_atom_site_fract_z
Sr1 0.206 0.434 0.351
Sr2 0.223 0.972 0.122
Sr3 0.251 0.568 0.905
Sr4 0.291 0.836 0.515
Ir1 0.273 0.173 0.736
N1 0.018 0.312 0.883
N2 0.030 0.153 0.624
N3 0.469 0.371 0.713
N4 0.494 0.893 0.730

=====

Entry 12:
# GGA-PBE Zn2IrN3, relaxed
# VASP energy	-5.65	eV per atom
# density	8029	kg/m³
# formation energy	231	meV/atom
data_Zn2IrN3
_space_group_name_H-M_alt 'C m c 21'
_space_group_IT_number 36
_cell_length_a 9.953
_cell_length_b 5.655
_cell_length_c 5.366
_cell_angle_alpha 90.00
_cell_angle_beta 90.00
_cell_angle_gamma 90.00
loop_
_space_group_symop_operation_xyz
'x,y,z'
'-x,-y,z+1/2'
'-x,y,z'
'x,-y,z+1/2'
'x+1/2,y+1/2,z'
'-x+1/2,-y+1/2,z+1/2'
'-x+1/2,y+1/2,z'
'x+1/2,-y+1/2,z+1/2'
loop_
_atom_site_label
_atom_site_fract_x
_atom_site_fract_y
_atom_site_fract_z
Zn1 0.169 0.171 0.000
Ir1 0.000 0.306 0.511
N1 0.000 0.371 0.864
N2 0.161 0.168 0.378